Computed, not measured: V3Ga2N after structural relaxation at the GGA-PBE level of DFT.

abc: 6.611 6.611 6.611
angles: 90.00 90.00 90.00
Space group P4_132 (No. 213)
Unique sites:
V  0.042  0.125  0.792
Ga  0.069  0.931  0.431
N  0.125  0.375  0.625

Calculated values
The magnetization comes out at 0.01 μB/f.u. As for the mass density: 7.041 g/cm3. The calculation puts the total energy at -180.86 eV per cell. The value obtained for the energy with MP2020 corrections is -182.30 eV for the cell shown. The value obtained for the formation energy is -0.655 eV per atom.